Material: KLiSO4
Method: DFT, PBE
State: relaxed

extended XYZ file:
```
14
Lattice="2.6069 -4.5154 0.0000 2.6069 4.5154 0.0000 0.0000 0.0000 8.8127" Properties=species:S:1:pos:R:3 pbc="T T T"
K 0.0000 0.0000 1.5888
K 0.0000 0.0000 5.9952
Li 2.6069 1.5051 4.3467
Li 2.6069 -1.5051 8.7531
S 2.6069 1.5051 7.7821
S 2.6069 -1.5051 3.3758
O 3.3361 -2.7127 3.8601
O 3.2882 0.2699 8.2664
O 3.2882 -0.2699 3.8601
O 1.1966 -1.5327 3.8601
O 2.6069 1.5051 6.2912
O 2.6069 -1.5051 1.8848
O 3.3361 2.7127 8.2664
O 1.1966 1.5327 8.2664
```

Properties
* space group: P31c (159)
* VASP energy: -5.76 eV per atom
* piezoelectric modulus e_max: 0.32 C/m2

***

Material: KLi3Si12Sn2O30
Method: DFT, PBE
State: relaxed

extended XYZ file:
```
96
Lattice="-8.0680 -6.0724 1.0956 7.6492 -0.4654 6.6664 -6.4928 10.0979 8.1551" Properties=species:S:1:pos:R:3 pbc="T T T"
K -1.6232 2.5245 2.0388
K -4.8696 7.5734 6.1163
Li -1.8326 -0.7444 5.9198
Li -8.9036 4.5372 6.6641
Li -1.0450 7.3407 9.4495
Li -5.0790 4.3045 9.9973
Li -5.6572 -0.5117 2.5866
Li 2.2014 2.2918 5.3719
Si -11.0311 4.3167 8.8918
Si -7.9753 3.3460 12.5266
Si -6.8407 6.7266 9.2440
Si -5.1516 4.7353 13.0545
Si -3.1472 4.5370 7.5990
Si -0.9612 7.1452 13.4067
Si -4.0170 8.1158 9.7719
Si -9.2468 0.6822 7.5159
Si -5.9209 3.9294 6.1430
Si -2.4028 1.8268 11.5476
Si 0.9231 5.0740 10.1747
Si -5.1764 1.2192 10.0916
Si 4.1195 -0.7566 7.0252
Si 1.0637 0.2140 3.3905
Si -0.0709 -3.1665 6.6730
Si -1.7352 2.3409 5.8254
Si -3.7643 -0.9769 8.3181
Si -5.9503 -3.5851 2.5104
Si -2.8946 -4.5558 6.1451
Si 2.3352 2.8779 8.4012
Si -0.9907 -0.3693 9.7740
Si -4.5088 1.7333 4.3695
Si -7.8347 -1.5139 5.7423
Si -1.7600 -1.1752 2.8625
Sn 0.7869 0.1901 6.8482
Sn -4.4521 -1.6789 4.9913
Sn -7.6985 3.3700 9.0688
Sn -2.4595 5.2390 10.9257
O -0.5237 -0.1391 3.1829
O -0.6191 5.5291 10.0356
O -2.8102 7.1622 10.2612
O -1.9494 3.3726 11.6467
O -7.2050 3.6755 7.0873
O -5.8499 2.5742 9.5299
O -3.3045 4.4740 9.2041
O -9.4611 4.2937 8.5179
O -6.7885 5.1500 9.5855
O -4.3731 5.0199 11.6696
O -1.7005 5.8762 12.7372
O -8.3514 3.0077 10.9939
O 1.6237 2.0410 7.2186
O -1.0617 0.9859 6.3871
O 0.2934 -0.1155 8.8297
O -4.9622 0.1874 4.2703
O -4.1014 -3.6022 5.6558
O -6.2925 -1.9690 5.8815
O -3.6071 -0.9139 6.7129
O 2.5495 -0.7336 7.3991
O -0.1231 -1.5899 6.3315
O -2.5385 -1.4598 4.2474
O -5.2111 -2.3161 3.1799
O -2.4317 5.9172 7.0787
O -9.9519 1.6399 6.3876
O -6.2032 0.3230 11.0028
O -4.6557 4.5939 6.9465
O -3.9791 1.6463 11.1350
O -5.2932 7.2786 9.1735
O 1.3171 4.6003 11.6940
O 1.9883 -0.9958 2.8161
O -4.8923 -4.5117 1.6914
O -1.1873 -2.5566 2.2203
O 0.7685 -3.9813 5.5416
O 4.4735 -2.0262 6.0706
O -4.5729 0.3203 8.8766
O -8.1948 -0.3384 6.8086
O -2.4071 -5.5420 4.9458
O -5.4583 2.5547 5.4050
O -1.4533 1.0054 10.5121
O -2.3387 3.2398 7.0404
O 1.2832 3.8985 9.1084
O -8.5353 1.5191 8.6984
O -6.7750 -4.4936 3.5977
O -2.6783 -0.3779 1.7631
O 0.5362 -3.4798 8.1633
O 4.6330 0.6359 6.3288
O -4.4799 -2.3571 8.8383
O -8.2287 -1.0402 4.2231
O -1.6184 -3.7186 6.7435
O -2.9325 1.9137 4.7821
O -2.2558 -1.0338 8.9705
O -0.7084 3.2370 4.9142
O 3.0404 1.9201 9.5295
O -6.3879 3.6992 12.7341
O -0.1366 8.0537 12.3194
O -4.2333 3.9380 14.1539
O -7.4478 7.0399 7.7537
O -11.5445 2.9242 9.5882
O 1.4398 0.5524 4.9232
```

Properties
* space group: P6/mcc (192)
* VASP energy: -7.37 eV per atom

***

Material: KLi3Zr2Si12O30
Method: DFT, PBE
State: relaxed

extended XYZ file:
```
96
Lattice="5.1263 -8.8790 0.0000 5.1263 8.8790 0.0000 0.0000 0.0000 14.5667" Properties=species:S:1:pos:R:3 pbc="T T T"
K 0.0000 0.0000 10.9250
K 0.0000 0.0000 3.6417
Li 2.5631 4.4395 3.6417
Li 5.1263 0.0000 10.9250
Li 2.5631 -4.4395 10.9250
Li 2.5631 4.4395 10.9250
Li 5.1263 0.0000 3.6417
Li 2.5631 -4.4395 3.6417
Zr 5.1263 -2.9597 10.9250
Zr 5.1263 2.9597 10.9250
Zr 5.1263 -2.9597 3.6417
Zr 5.1263 2.9597 3.6417
Si 5.7745 -5.7563 8.8616
Si 7.2242 -1.0000 8.8616
Si 2.3802 -2.1227 8.8616
Si 7.8724 2.1227 8.8616
Si 2.3802 2.1227 12.9884
Si 4.4781 5.7563 8.8616
Si 3.0284 1.0000 8.8616
Si 4.4781 -5.7563 12.9884
Si 3.0284 -1.0000 12.9884
Si 7.2242 1.0000 12.9884
Si 5.7745 5.7563 12.9884
Si 7.8724 -2.1227 12.9884
Si 4.4781 5.7563 5.7051
Si 3.0284 1.0000 5.7051
Si 7.8724 2.1227 5.7051
Si 2.3802 2.1227 1.5783
Si 7.8724 -2.1227 1.5783
Si 5.7745 -5.7563 5.7051
Si 7.2242 -1.0000 5.7051
Si 5.7745 5.7563 1.5783
Si 7.2242 1.0000 1.5783
Si 3.0284 -1.0000 1.5783
Si 4.4781 -5.7563 1.5783
Si 2.3802 -2.1227 5.7051
O 2.5350 0.5267 1.9279
O 4.1839 -4.4683 12.0603
O 4.2910 -1.3892 12.0603
O 5.9616 1.3892 12.0603
O 6.0687 4.4683 12.0603
O 6.9040 -3.0215 12.0603
O 4.1839 4.4683 4.7770
O 4.2910 1.3892 4.7770
O 6.9040 3.0215 4.7770
O 3.3486 -3.0215 4.7770
O 6.9040 -3.0215 2.5063
O 6.0687 -4.4683 4.7770
O 5.9616 -1.3892 4.7770
O 6.0687 4.4683 2.5063
O 5.9616 1.3892 2.5063
O 4.2910 -1.3892 2.5063
O 4.1839 -4.4683 2.5063
O 1.7236 1.9320 9.2113
O 4.3149 -6.4203 9.2113
O 8.5290 -1.9320 9.2113
O 2.5350 -0.5267 9.2113
O 7.7176 0.5267 9.2113
O 2.5350 0.5267 12.6387
O 5.9376 6.4203 9.2113
O 6.0687 -4.4683 9.7897
O 4.1839 4.4683 9.7897
O 3.3486 3.0215 12.0603
O 6.9040 3.0215 9.7897
O 3.3486 -3.0215 9.7897
O 5.9616 -1.3892 9.7897
O 2.6783 2.3869 0.0000
O 4.3983 -5.3661 0.0000
O 3.4062 -1.1260 0.0000
O 6.8463 1.1260 0.0000
O 5.8543 5.3661 0.0000
O 6.8463 -1.1260 7.2833
O 5.8543 -5.3661 7.2833
O 7.5743 -2.3869 0.0000
O 2.6783 -2.3869 7.2833
O 7.5743 2.3869 7.2833
O 3.4062 1.1260 7.2833
O 4.3983 5.3661 7.2833
O 4.2910 1.3892 9.7897
O 5.9376 -6.4203 1.9279
O 1.7236 -1.9320 1.9279
O 8.5290 1.9320 1.9279
O 4.3149 6.4203 1.9279
O 8.5290 -1.9320 5.3554
O 4.3149 -6.4203 5.3554
O 7.7176 -0.5267 1.9279
O 2.5350 -0.5267 5.3554
O 7.7176 0.5267 5.3554
O 1.7236 1.9320 5.3554
O 5.9376 6.4203 5.3554
O 7.7176 -0.5267 12.6387
O 4.3149 6.4203 12.6387
O 8.5290 1.9320 12.6387
O 1.7236 -1.9320 12.6387
O 5.9376 -6.4203 12.6387
O 3.3486 3.0215 2.5063
```

Properties
* space group: P6/mcc (192)
* VASP energy: -7.78 eV per atom

***

Material: KLiSnO2
Method: DFT, PBE
State: relaxed

extended XYZ file:
```
10
Lattice="3.8909 -4.4410 3.9681 5.6191 -1.5286 4.0861 0.0105 -0.4111 9.9941" Properties=species:S:1:pos:R:3 pbc="T T T"
K 4.7195 -3.2442 10.9510
K 4.8009 -3.1364 7.0974
Li 2.3183 -1.6267 6.1952
Li 7.2022 -4.7540 11.8531
Sn 1.8924 -1.5270 9.9722
Sn 7.6280 -4.8537 8.0761
O 7.9280 -5.1139 10.1032
O 1.6956 -1.1829 4.3631
O 7.8248 -5.1977 13.6852
O 1.5924 -1.2668 7.9451
```

Properties
* space group: C2/m (12)
* VASP energy: -4.92 eV per atom